DFT (PBE-GGA) results for crystalline SmEr3S6 at its relaxed geometry.

Structure (POSCAR):
```
SmEr3S6
1.0
3.948 0.000 0.000
0.000 10.999 0.000
0.000 3.628 10.665
Er Sm S
6 2 12
Direct
0.750 0.938 0.668
0.250 0.062 0.332
0.750 0.181 0.998
0.250 0.339 0.586
0.750 0.661 0.414
0.250 0.819 0.002
0.250 0.453 0.193
0.750 0.547 0.807
0.250 0.384 0.963
0.250 0.022 0.112
0.250 0.104 0.561
0.750 0.616 0.037
0.750 0.305 0.749
0.250 0.761 0.774
0.250 0.582 0.595
0.750 0.978 0.888
0.250 0.695 0.251
0.750 0.239 0.226
0.750 0.896 0.439
0.750 0.418 0.405
```

## Properties
As for the symmetry: P2_1/m. The total energy comes out at -128.06 eV for the cell shown.

DFT (PBE-GGA) results for crystalline SrEr2S4 at its relaxed geometry.

Structure (POSCAR):
```
SrEr2S4
1.0
3.970 0.000 0.000
0.000 11.970 0.000
0.000 0.000 14.282
S Er Sr
16 8 4
Direct
0.250 0.708 0.672
0.250 0.021 0.284
0.250 0.916 0.922
0.750 0.370 0.026
0.250 0.521 0.216
0.250 0.630 0.974
0.750 0.792 0.172
0.750 0.979 0.716
0.750 0.292 0.328
0.750 0.584 0.422
0.250 0.130 0.526
0.250 0.416 0.578
0.250 0.208 0.828
0.750 0.084 0.078
0.750 0.479 0.784
0.750 0.870 0.474
0.250 0.431 0.390
0.250 0.920 0.601
0.250 0.931 0.110
0.750 0.580 0.101
0.750 0.080 0.399
0.250 0.420 0.899
0.750 0.569 0.610
0.750 0.069 0.890
0.250 0.257 0.162
0.250 0.757 0.338
0.750 0.743 0.838
0.750 0.243 0.662
```

## Properties
As for the symmetry: Pnma. The total energy comes out at -169.11 eV for the cell shown.

DFT (PBE-GGA) results for crystalline SrEr2S4 at its relaxed geometry.

Structure (POSCAR):
```
SrEr2S4
1.0
-4.247 4.247 4.239
4.247 -4.247 4.239
4.247 4.247 -4.239
Er S Sr
4 8 2
Direct
0.243 0.875 0.868
0.125 0.993 0.368
0.625 0.757 0.632
0.007 0.375 0.132
0.240 0.495 0.600
0.361 0.760 0.255
0.356 0.255 0.245
0.745 0.990 0.100
0.505 0.106 0.745
0.894 0.639 0.400
0.010 0.111 0.755
0.889 0.644 0.900
0.500 0.500 0.000
0.750 0.250 0.500
```

## Properties
As for the symmetry: I-42d. Its piezoelectric modulus e_max is 0.8 C/m2. The total energy comes out at -83.25 eV for the cell shown.

DFT (PBE-GGA) results for crystalline Er2TeS2 at its relaxed geometry.

Structure (POSCAR):
```
Er2TeS2
1.0
-2.074 2.663 6.689
2.074 -2.663 6.689
2.074 2.663 -6.689
Er Te S
2 1 2
Direct
0.167 0.667 0.500
0.833 0.333 0.500
0.000 0.000 0.000
0.297 0.297 0.000
0.703 0.703 0.000
```

## Properties
As for the symmetry: Immm. The total energy comes out at -29.79 eV for the cell shown.

DFT (PBE-GGA) results for crystalline ErTlS2 at its relaxed geometry.

Structure (POSCAR):
```
ErTlS2
1.0
-1.487 -3.478 6.914
-3.272 -5.811 4.200
0.655 -6.163 4.867
S Er Tl
2 1 1
Direct
0.268 0.268 0.268
0.732 0.732 0.732
0.000 0.000 0.000
0.500 0.500 0.500
```

## Properties
As for the symmetry: R-3m. The total energy comes out at -21.15 eV for the cell shown.

DFT (PBE-GGA) results for crystalline Er4US7 at its relaxed geometry.

Structure (POSCAR):
```
Er4US7
1.0
-1.470 -4.514 -4.643
1.666 -2.787 -5.793
6.201 -9.283 2.961
Er S U
4 7 1
Direct
0.700 0.700 0.188
0.301 0.301 0.811
0.117 0.117 0.577
0.000 0.000 0.998
0.659 0.659 0.950
0.502 0.502 0.502
0.256 0.256 0.349
0.341 0.341 0.051
0.739 0.739 0.652
0.042 0.042 0.213
0.959 0.959 0.785
0.885 0.885 0.424
```

## Properties
As for the symmetry: Cm. The total energy comes out at -80.70 eV for the cell shown.

DFT (PBE-GGA) results for crystalline Er2ZnS4 at its relaxed geometry.

Structure (POSCAR):
```
Er2ZnS4
1.0
-4.611 -0.067 -4.308
2.189 -7.206 -2.231
-8.381 -5.349 9.053
Er S Zn
8 16 4
Direct
0.000 0.500 0.000
0.500 0.500 0.500
0.500 0.000 0.500
0.000 0.000 0.000
0.495 0.750 0.233
0.505 0.250 0.767
0.995 0.250 0.267
0.005 0.750 0.733
0.721 0.250 0.591
0.221 0.750 0.909
0.755 0.750 0.570
0.245 0.486 0.168
0.755 0.514 0.832
0.279 0.750 0.409
0.779 0.250 0.091
0.245 0.250 0.430
0.245 0.014 0.168
0.255 0.014 0.668
0.755 0.986 0.832
0.745 0.986 0.332
0.745 0.514 0.332
0.255 0.250 0.930
0.745 0.750 0.070
0.255 0.486 0.668
0.085 0.250 0.592
0.585 0.750 0.908
0.915 0.750 0.408
0.415 0.250 0.092
```

## Properties
As for the symmetry: Pnma. The total energy comes out at -155.31 eV for the cell shown.

DFT (PBE-GGA) results for crystalline Er2ZrS5 at its relaxed geometry.

Structure (POSCAR):
```
Er2ZrS5
1.0
-5.949 -3.801 -1.565
3.978 -6.561 0.815
-2.770 -0.285 11.222
Zr S Er
4 20 8
Direct
0.920 0.250 0.507
0.580 0.250 0.007
0.080 0.750 0.493
0.420 0.750 0.993
0.339 0.038 0.904
0.339 0.462 0.904
0.330 0.250 0.183
0.661 0.538 0.096
0.839 0.538 0.596
0.161 0.462 0.404
0.307 0.750 0.209
0.548 0.250 0.502
0.661 0.962 0.096
0.161 0.038 0.404
0.839 0.962 0.596
0.952 0.250 0.002
0.670 0.750 0.817
0.807 0.250 0.291
0.193 0.750 0.709
0.830 0.750 0.317
0.048 0.750 0.998
0.452 0.750 0.498
0.170 0.250 0.683
0.693 0.250 0.791
0.979 0.002 0.821
0.479 0.502 0.679
0.021 0.998 0.179
0.521 0.498 0.321
0.479 0.998 0.679
0.979 0.498 0.821
0.021 0.502 0.179
0.521 0.002 0.321
```

## Properties
As for the symmetry: Pnma. The total energy comes out at -212.59 eV for the cell shown.

no.,formation energy from the elements (eV per atom)
1,-2.381
2,-2.417
3,-2.324
4,-2.050
5,-1.737
6,-2.142
7,-1.986
8,-2.162